[1]
Pm2MgS4 after structural relaxation. Source: the Materials Project database, functional GGA-PBE.

Properties
- mass density (Mg/m³) = 4.150
- crystal system = orthorhombic
- space-group type = No. 62
- total energy (eV/atom) = -5.734
- energy above the lowest structure with this stoichiometry (kJ/mol of atoms) = 5.98
- formation energy from the elements (eV per atom) = -2.072

a = 3.9448 Å, b = 12.8923 Å, c = 13.9280 Å
α = 90.00°, β = 90.00°, γ = 90.00°
Atoms (fractional coordinates):
1 Pm 0.7500 0.3790 0.5736
2 Pm 0.7500 0.8790 0.9264
3 Pm 0.7500 0.3669 0.2072
4 Pm 0.2500 0.6331 0.7928
5 Pm 0.7500 0.8669 0.2928
6 Pm 0.2500 0.6210 0.4264
7 Pm 0.2500 0.1210 0.0736
8 Pm 0.2500 0.1331 0.7072
9 S 0.7500 0.2687 0.0160
10 S 0.2500 0.0246 0.8850
11 S 0.7500 0.7707 0.7555
12 S 0.7500 0.5021 0.8857
13 S 0.2500 0.4979 0.1143
14 S 0.7500 0.4754 0.3850
15 S 0.7500 0.2707 0.7445
16 S 0.2500 0.9979 0.3857
17 S 0.7500 0.9754 0.1150
18 S 0.2500 0.7293 0.2555
19 S 0.2500 0.5246 0.6150
20 S 0.2500 0.7313 0.9840
21 S 0.7500 0.7687 0.4840
22 S 0.7500 0.0021 0.6143
23 S 0.2500 0.2293 0.2445
24 S 0.2500 0.2313 0.5160
25 Mg 0.7500 0.6065 0.0381
26 Mg 0.2500 0.3935 0.9619
27 Mg 0.2500 0.8935 0.5381
28 Mg 0.7500 0.1065 0.4619

***

[2]
Pm2MgS4 after structural relaxation. Source: the Materials Project database, functional GGA-PBE.

Properties
- mass density (Mg/m³) = 4.509
- crystal system = orthorhombic
- space-group type = No. 29
- total energy (eV/atom) = -5.796
- energy above the lowest structure with this stoichiometry (kJ/mol of atoms) = 0.00
- formation energy from the elements (eV per atom) = -2.134

a = 7.7637 Å, b = 12.9512 Å, c = 12.9682 Å
α = 90.00°, β = 90.00°, γ = 90.00°
Atoms (fractional coordinates):
1 S 0.1295 0.2666 0.2752
2 S 0.3685 0.7693 0.2769
3 S 0.6197 0.9702 0.6293
4 S 0.3805 0.2111 0.5233
5 S 0.6315 0.2307 0.7769
6 S 0.6288 0.9765 0.3674
7 S 0.1195 0.5115 0.8787
8 S 0.6288 0.5235 0.8674
9 S 0.3712 0.0235 0.8674
10 S 0.6315 0.2693 0.2769
11 S 0.8805 0.4885 0.3787
12 S 0.6197 0.5298 0.1293
13 S 0.3805 0.2889 0.0233
14 S 0.8705 0.7666 0.2752
15 S 0.8725 0.0448 0.1395
16 S 0.8805 0.0115 0.8787
17 S 0.1275 0.5448 0.1395
18 S 0.1275 0.9552 0.6395
19 S 0.1295 0.2334 0.7752
20 S 0.6195 0.7111 0.5233
21 S 0.3803 0.4702 0.6293
22 S 0.8795 0.2891 0.9970
23 S 0.8725 0.4552 0.6395
24 S 0.6195 0.7889 0.0233
25 S 0.3803 0.0298 0.1293
26 S 0.3712 0.4765 0.3674
27 S 0.3685 0.7307 0.7769
28 S 0.1205 0.7891 0.9970
29 S 0.8795 0.2109 0.4970
30 S 0.1195 0.9885 0.3787
31 S 0.1205 0.7109 0.4970
32 S 0.8705 0.7334 0.7752
33 Pm 0.6171 0.6275 0.3264
34 Pm 0.3829 0.1275 0.3264
35 Pm 0.8847 0.3900 0.1842
36 Pm 0.3706 0.6343 0.9938
37 Pm 0.3829 0.3725 0.8264
38 Pm 0.1293 0.3648 0.4926
39 Pm 0.6294 0.3657 0.4938
40 Pm 0.8707 0.6352 0.9926
41 Pm 0.3706 0.8657 0.4938
42 Pm 0.1153 0.6100 0.6842
43 Pm 0.6294 0.1343 0.9938
44 Pm 0.8707 0.8648 0.4926
45 Pm 0.1153 0.8900 0.1842
46 Pm 0.1293 0.1352 0.9926
47 Pm 0.8847 0.1100 0.6842
48 Pm 0.6171 0.8725 0.8264
49 Mg 0.3847 0.3893 0.1927
50 Mg 0.8794 0.3742 0.8201
51 Mg 0.3847 0.1107 0.6927
52 Mg 0.6153 0.8893 0.1927
53 Mg 0.1206 0.8742 0.8201
54 Mg 0.6153 0.6107 0.6927
55 Mg 0.8794 0.1258 0.3201
56 Mg 0.1206 0.6258 0.3201

***

[3]
PmMgSe3 after structural relaxation. Source: the Materials Project database, functional GGA-PBE.

Properties
- mass density (Mg/m³) = 4.859
- total energy (eV/atom) = -4.564
- energy above the lowest structure with this stoichiometry (kJ/mol of atoms) = 0.00
- formation energy from the elements (eV per atom) = -1.480

a = 7.0005 Å, b = 7.0005 Å, c = 19.6250 Å
α = 90.00°, β = 90.00°, γ = 120.00°
Atoms (fractional coordinates):
1 Mg 0.6667 0.3333 0.1699
2 Mg 0.3333 0.6667 0.8301
3 Mg 0.6667 0.3333 0.4968
4 Mg 0.0000 0.0000 0.1634
5 Mg 0.3333 0.6667 0.5032
6 Mg 0.0000 0.0000 0.8366
7 Se 0.7070 0.0432 0.0832
8 Se 0.2901 0.3304 0.7499
9 Se 0.7099 0.6696 0.2501
10 Se 0.6264 0.6235 0.5834
11 Se 0.9568 0.6638 0.0832
12 Se 0.3362 0.2930 0.0832
13 Se 0.0432 0.3362 0.9168
14 Se 0.0403 0.7099 0.7499
15 Se 0.3304 0.0403 0.2501
16 Se 0.9971 0.3736 0.5834
17 Se 0.3736 0.3765 0.4166
18 Se 0.6696 0.9597 0.7499
19 Se 0.6235 0.9971 0.4166
20 Se 0.2930 0.9568 0.9168
21 Se 0.3765 0.0029 0.5834
22 Se 0.6638 0.7070 0.9168
23 Se 0.9597 0.2901 0.2501
24 Se 0.0029 0.6264 0.4166
25 Pm 0.0000 0.0000 0.3511
26 Pm 0.3333 0.6667 0.0177
27 Pm 0.0000 0.0000 0.6489
28 Pm 0.6667 0.3333 0.9823
29 Pm 0.3333 0.6667 0.3156
30 Pm 0.6667 0.3333 0.6844